This record from Materials Project describes crystalline Ba2AlH7 at its relaxed geometry. The functional is PBE.

Output
The crystal system is monoclinic. The calculation puts the formation enthalpy at 0 K at -0.53 eV/atom.

Cell lengths 8.8139, 8.8139, 8.5672 Å; angles 109.89, 109.89, 71.82 degrees
Element x y z (fractional)
Ba  0.0714  0.7407  0.9827
Ba  0.2593  0.9286  0.5173
Ba  0.2806  0.4341  0.5195
Ba  0.4341  0.2806  0.0195
Ba  0.5659  0.7194  0.9805
Ba  0.7194  0.5659  0.4805
Ba  0.7407  0.0714  0.4827
Ba  0.9286  0.2593  0.0173
Al  0.0318  0.3182  0.6976
Al  0.3182  0.0318  0.1976
Al  0.6818  0.9682  0.8024
Al  0.9682  0.6818  0.3024
H  0.0174  0.5120  0.6725
H  0.0387  0.1236  0.7126
H  0.0548  0.7461  0.5256
H  0.1058  0.3906  0.9194
H  0.1236  0.0387  0.2126
H  0.1762  0.6230  0.2810
H  0.2358  0.2472  0.6792
H  0.2472  0.2358  0.1792
H  0.2539  0.9452  0.9744
H  0.3377  0.5467  0.8739
H  0.3770  0.8238  0.2190
H  0.3906  0.1058  0.4194
H  0.4533  0.6623  0.6261
H  0.4880  0.9826  0.8275
H  0.5120  0.0174  0.1725
H  0.5467  0.3377  0.3739
H  0.6094  0.8942  0.5806
H  0.6230  0.1762  0.7810
H  0.6623  0.4533  0.1261
H  0.7461  0.0548  0.0256
H  0.7528  0.7642  0.8208
H  0.7642  0.7528  0.3208
H  0.8238  0.3770  0.7190
H  0.8764  0.9613  0.7874
H  0.8942  0.6094  0.0806
H  0.9452  0.2539  0.4744
H  0.9613  0.8764  0.2874
H  0.9826  0.4880  0.3275

***

This record from Materials Project describes crystalline BaLiAl3P2H2O14 at its relaxed geometry. The functional is PBE.

Output
The crystal system is monoclinic. The calculation puts the formation enthalpy at 0 K at -2.42 eV/atom.

Cell lengths 7.3555, 7.3555, 7.5377 Å; angles 117.18, 117.18, 54.38 degrees
Element x y z (fractional)
Ba  0.0000  0.0000  0.0000
Li  0.7808  0.7808  0.4040
Al  0.0098  0.4667  0.5048
Al  0.4667  0.0098  0.5048
Al  0.9960  0.9960  0.5011
P  0.2650  0.2650  0.8712
P  0.7148  0.7148  0.0994
H  0.3054  0.3054  0.3247
H  0.6850  0.6850  0.6604
O  0.0254  0.7884  0.6063
O  0.1126  0.4825  0.7787
O  0.1252  0.1252  0.7687
O  0.2001  0.9694  0.3965
O  0.2964  0.2964  0.4493
O  0.3287  0.3287  0.1019
O  0.4825  0.1126  0.7787
O  0.5005  0.8698  0.2032
O  0.6543  0.6543  0.8706
O  0.6914  0.6914  0.5334
O  0.7884  0.0254  0.6063
O  0.8577  0.8577  0.2238
O  0.8698  0.5005  0.2032
O  0.9694  0.2001  0.3965

***

> What is the formula in the second record?

BaLiAl3P2H2O14

***

> The lowest formation enthalpy at 0 K belongs to which entry?

BaLiAl3P2H2O14

***

> What is the formation enthalpy at 0 K in the first record?

-0.53 eV/atom

***

> The lowest formation enthalpy at 0 K belongs to which entry?

BaLiAl3P2H2O14